Below is crystalline Co3Mo at its relaxed geometry, with properties calculated at the PBE level.

Lattice parameters (Å, degrees): 5.1122 5.1122 4.0887 90.00 90.00 120.00
Last column: nearest neighbours and their distance in Å.
Sites, in units of the cell vectors:
Co 0.8381 0.6762 0.2500  8 Co 2.48-2.63, 4 Mo 2.55-2.56
Co 0.1619 0.8381 0.7500  8 Co 2.48-2.63, 4 Mo 2.55-2.56
Co 0.6762 0.8381 0.7500  8 Co 2.48-2.63, 4 Mo 2.55-2.56
Co 0.3238 0.1619 0.2500  8 Co 2.48-2.63, 4 Mo 2.55-2.56
Co 0.8381 0.1619 0.2500  8 Co 2.48-2.63, 4 Mo 2.55-2.56
Co 0.1619 0.3238 0.7500  8 Co 2.48-2.63, 4 Mo 2.55-2.56
Mo 0.3333 0.6667 0.2500  12 Co 2.55-2.56
Mo 0.6667 0.3333 0.7500  12 Co 2.55-2.56

Calculated formation energy in eV per formula unit: -0.211
SG: P6_3/mmc (194)
E_tot in eV per atom: -8.095



Below is crystalline Co2Mo3N at its relaxed geometry, with properties calculated at the PBE level.

Lattice parameters (Å, degrees): 6.6679 6.6679 6.6679 90.00 90.00 90.00
Last column: nearest neighbours and their distance in Å.
Sites, in units of the cell vectors:
Co 0.0690 0.0690 0.0690  3 Co 2.47, 3 Mo 2.72
Co 0.3190 0.1810 0.8190  3 Co 2.47, 3 Mo 2.72
Co 0.8190 0.3190 0.1810  3 Co 2.47, 3 Mo 2.72
Co 0.1810 0.8190 0.3190  3 Co 2.47, 3 Mo 2.72
Co 0.4310 0.9310 0.5690  3 Co 2.47, 3 Mo 2.72
Co 0.5690 0.4310 0.9310  3 Co 2.47, 3 Mo 2.72
Co 0.9310 0.5690 0.4310  3 Co 2.47, 3 Mo 2.72
Co 0.6810 0.6810 0.6810  3 Co 2.47, 3 Mo 2.72
Mo 0.1250 0.2014 0.4514  2 N 2.09
Mo 0.3750 0.7986 0.9514  2 N 2.09
Mo 0.8750 0.7014 0.0486  2 N 2.09
Mo 0.2014 0.4514 0.1250  2 N 2.09
Mo 0.7986 0.9514 0.3750  2 N 2.09
Mo 0.0486 0.8750 0.7014  2 N 2.09
Mo 0.4514 0.1250 0.2014  2 N 2.09
Mo 0.2986 0.5486 0.6250  2 N 2.09
Mo 0.9514 0.3750 0.7986  2 N 2.09
Mo 0.5486 0.6250 0.2986  2 N 2.09
Mo 0.7014 0.0486 0.8750  2 N 2.09
Mo 0.6250 0.2986 0.5486  2 N 2.09
N 0.3750 0.3750 0.3750  6 Mo 2.09
N 0.6250 0.8750 0.1250  6 Mo 2.09
N 0.1250 0.6250 0.8750  6 Mo 2.09
N 0.8750 0.1250 0.6250  6 Mo 2.09

Total moment in μB/atom: 0.00
Calculated formation energy in eV per formula unit: -1.261
SG: P4_132 (213)
E_tot in eV per atom: -9.332



Below is crystalline CoMo4N5 at its relaxed geometry, with properties calculated at the PBE level.

Lattice parameters (Å, degrees): 12.4261 12.4261 2.8124 90.00 90.00 166.81
Last column: nearest neighbours and their distance in Å.
Sites, in units of the cell vectors:
Co 0.9904 0.0096 0.0000  4 N 2.07
Mo 0.4043 0.5957 0.0000  6 N 2.13-2.18
Mo 0.8018 0.1982 0.0000  6 N 2.18-2.19
Mo 0.1988 0.8012 0.0000  6 N 2.16-2.19
Mo 0.5994 0.4006 0.0000  6 N 2.16-2.17
N 0.4692 0.5308 0.5000  4 Co 2.07, 2 Mo 2.13
N 0.8695 0.1305 0.5000  6 Mo 2.18-2.19
N 0.2667 0.7333 0.5000  6 Mo 2.18-2.19
N 0.6663 0.3337 0.5000  6 Mo 2.16-2.17
N 0.0670 0.9330 0.5000  4 Mo 2.16, 2 Co 2.36

Total moment in μB/atom: 0.10
Calculated formation energy in eV per formula unit: -2.531
SG: Amm2 (38)
E_tot in eV per atom: -9.290



Below is crystalline Co3Mo3N at its relaxed geometry, with properties calculated at the PBE level.

Lattice parameters (Å, degrees): 7.8135 7.8135 7.8135 60.00 60.00 60.00
Last column: nearest neighbours and their distance in Å.
Sites, in units of the cell vectors:
Co 0.6250 0.1250 0.6250  6 Co 2.37
Co 0.6250 0.6250 0.1250  6 Co 2.37
Co 0.1250 0.6250 0.6250  6 Co 2.37
Co 0.6250 0.6250 0.6250  6 Co 2.37
Co 0.8304 0.5088 0.8304  6 Co 2.37-2.51
Co 0.4196 0.4196 0.7412  6 Co 2.37-2.51
Co 0.7412 0.4196 0.4196  6 Co 2.37-2.51
Co 0.4196 0.4196 0.4196  6 Co 2.37-2.51
Co 0.5088 0.8304 0.8304  6 Co 2.37-2.51
Co 0.8304 0.8304 0.8304  6 Co 2.37-2.51
Co 0.8304 0.8304 0.5088  6 Co 2.37-2.51
Co 0.4196 0.7412 0.4196  6 Co 2.37-2.51
Mo 0.2021 0.2021 0.7979  2 N 2.13
Mo 0.4521 0.0479 0.0479  2 N 2.13
Mo 0.0479 0.4521 0.4521  2 N 2.13
Mo 0.4521 0.4521 0.0479  2 N 2.13
Mo 0.4521 0.0479 0.4521  2 N 2.13
Mo 0.0479 0.4521 0.0479  2 N 2.13
Mo 0.7979 0.2021 0.7979  2 N 2.13
Mo 0.7979 0.2021 0.2021  2 N 2.13
Mo 0.2021 0.7979 0.7979  2 N 2.13
Mo 0.2021 0.7979 0.2021  2 N 2.13
Mo 0.0479 0.0479 0.4521  2 N 2.13
Mo 0.7979 0.7979 0.2021  2 N 2.13
N 0.1250 0.6250 0.1250  6 Mo 2.13
N 0.1250 0.1250 0.6250  6 Mo 2.13
N 0.6250 0.1250 0.1250  6 Mo 2.13
N 0.1250 0.1250 0.1250  6 Mo 2.13

Total moment in μB/atom: 0.00
Calculated formation energy in eV per formula unit: -1.215
SG: Fd-3m (227)
E_tot in eV per atom: -9.008



Below is crystalline NdCo10Mo2 at its relaxed geometry, with properties calculated at the PBE level.

Lattice parameters (Å, degrees): 4.6992 6.4694 6.4694 97.43 111.30 68.70
Last column: nearest neighbours and their distance in Å.
Sites, in units of the cell vectors:
Nd 0.0000 0.0000 0.0000  18 Co 2.98-3.23, 2 Mo 3.07
Co 0.7161 0.7839 0.2161  8 Co 2.45-2.66, 2 Mo 2.70
Co 0.2839 0.2161 0.7839  8 Co 2.45-2.66, 2 Mo 2.70
Co 0.5000 0.7752 0.7752  8 Co 2.44-2.66, 2 Mo 2.62
Co 0.5000 0.2248 0.2248  8 Co 2.44-2.66, 2 Mo 2.62
Co 0.5000 0.0000 0.5000  8 Co 2.35-2.61, 2 Mo 2.60
Co 0.0000 0.0000 0.5000  8 Co 2.35-2.61, 2 Mo 2.60
Co 0.5000 0.5000 0.0000  8 Co 2.35-2.61, 2 Mo 2.60
Co 0.0000 0.5000 0.0000  8 Co 2.35-2.61, 2 Mo 2.60
Co 0.6394 0.3606 0.6394  9 Co 2.37-2.65
Co 0.3606 0.6394 0.3606  9 Co 2.37-2.65
Mo 0.0000 0.3593 0.3593  1 Mo 2.40, 6 Co 2.60-2.62
Mo 0.0000 0.6407 0.6407  1 Mo 2.40, 6 Co 2.60-2.62

Total moment in μB/atom: 0.96
Calculated formation energy in eV per formula unit: 0.090
SG: Immm (71)
E_tot in eV per atom: -7.496



Below is crystalline CoMoP at its relaxed geometry, with properties calculated at the PBE level.

Lattice parameters (Å, degrees): 3.7448 5.8085 6.7393 90.00 90.00 90.00
Last column: nearest neighbours and their distance in Å.
Sites, in units of the cell vectors:
Co 0.7500 0.6403 0.4328  4 P 2.20-2.32
Co 0.2500 0.8597 0.9328  4 P 2.20-2.32
Co 0.7500 0.1403 0.0672  4 P 2.20-2.32
Co 0.2500 0.3597 0.5672  4 P 2.20-2.32
Mo 0.2500 0.4679 0.1701  5 P 2.38-2.63
Mo 0.2500 0.9679 0.3299  5 P 2.38-2.63
Mo 0.7500 0.0321 0.6701  5 P 2.38-2.63
Mo 0.7500 0.5321 0.8299  5 P 2.38-2.63
P 0.2500 0.7338 0.6194  4 Co 2.20-2.32, 1 Mo 2.38
P 0.2500 0.2338 0.8806  4 Co 2.20-2.32, 1 Mo 2.38
P 0.7500 0.2662 0.3806  4 Co 2.20-2.32, 1 Mo 2.38
P 0.7500 0.7662 0.1194  4 Co 2.20-2.32, 1 Mo 2.38

Calculated formation energy in eV per formula unit: -1.846
SG: Pnma (62)
E_tot in eV per atom: -8.404